Zn3P6H30N6O26: optimized geometry, GGA-PBE.

Values from the calculation:
Magnetic moment: 2.01 Bohr magnetons per cell

The structure in CIF format:
```
data_Zn3P6H30N6O26
_chemical_formula_sum 'Zn3 P6 H30 N6 O26'
_cell_length_a 7.521
_cell_length_b 9.723
_cell_length_c 9.926
_cell_angle_alpha 103.89
_cell_angle_beta 91.02
_cell_angle_gamma 101.41
_symmetry_space_group_name_H-M 'P -1'
_symmetry_Int_Tables_number 2
loop_
_symmetry_equiv_pos_as_xyz
'x,y,z'
'-x,-y,-z'
loop_
_atom_site_label
_atom_site_type_symbol
_atom_site_fract_x
_atom_site_fract_y
_atom_site_fract_z
Zn1 Zn 0.000 0.000 0.000
Zn2 Zn 0.410 0.681 0.360
P1 P 0.012 0.404 0.782
P2 P 0.166 0.243 0.534
P3 P 0.246 0.198 0.808
H1 H 0.024 0.280 0.155
H2 H 0.059 0.177 0.250
H3 H 0.079 0.032 0.617
H4 H 0.132 0.366 0.981
H5 H 0.168 0.748 0.555
H6 H 0.184 0.492 0.619
H7 H 0.185 0.846 0.148
H8 H 0.282 0.627 0.899
H9 H 0.319 0.992 0.141
H10 H 0.362 0.776 0.632
H11 H 0.380 0.955 0.833
H12 H 0.393 0.405 0.371
H13 H 0.454 0.678 0.008
H14 H 0.455 0.818 0.849
H15 H 0.463 0.427 0.223
N1 N 0.115 0.395 0.632
N2 N 0.129 0.324 0.876
N3 N 0.153 0.137 0.645
O1 O 0.020 0.168 0.417
O2 O 0.040 0.562 0.858
O3 O 0.071 0.192 0.154
O4 O 0.179 0.690 0.250
O5 O 0.205 0.923 0.098
O6 O 0.217 0.076 0.880
O7 O 0.282 0.709 0.551
O8 O 0.359 0.285 0.492
O9 O 0.394 0.465 0.303
O10 O 0.417 0.659 0.908
O11 O 0.440 0.966 0.454
O12 O 0.446 0.269 0.802
O13 O 0.466 0.893 0.794
```


Zn5P6H22N2O22: optimized geometry, GGA-PBE.

Values from the calculation:
Magnetic moment: 0.00 Bohr magnetons per cell

The structure in CIF format:
```
data_Zn5P6H22N2O22
_chemical_formula_sum 'Zn5 P6 H22 N2 O22'
_cell_length_a 7.304
_cell_length_b 9.902
_cell_length_c 10.403
_cell_angle_alpha 63.46
_cell_angle_beta 86.96
_cell_angle_gamma 72.89
_symmetry_space_group_name_H-M 'P -1'
_symmetry_Int_Tables_number 2
loop_
_symmetry_equiv_pos_as_xyz
'x,y,z'
'-x,-y,-z'
loop_
_atom_site_label
_atom_site_type_symbol
_atom_site_fract_x
_atom_site_fract_y
_atom_site_fract_z
Zn1 Zn 0.000 0.000 0.000
Zn2 Zn 0.138 0.644 0.519
Zn3 Zn 0.164 0.296 0.163
P1 P 0.249 0.939 0.297
P2 P 0.261 0.409 0.381
P3 P 0.262 0.496 0.849
H1 H 0.116 0.215 0.773
H2 H 0.169 0.724 0.997
H3 H 0.179 0.945 0.723
H4 H 0.223 0.697 0.152
H5 H 0.236 0.085 0.575
H6 H 0.240 0.191 0.901
H7 H 0.268 0.903 0.586
H8 H 0.404 0.837 0.265
H9 H 0.415 0.931 0.690
H10 H 0.443 0.497 0.887
H11 H 0.450 0.342 0.449
N1 N 0.276 0.963 0.645
O1 O 0.076 0.000 0.188
O2 O 0.119 0.650 0.841
O3 O 0.148 0.298 0.482
O4 O 0.185 0.580 0.363
O5 O 0.193 0.131 0.862
O6 O 0.205 0.842 0.453
O7 O 0.210 0.773 0.049
O8 O 0.225 0.343 0.964
O9 O 0.273 0.415 0.231
O10 O 0.275 0.489 0.704
O11 O 0.320 0.074 0.290
```


RbH4SNO4: optimized geometry, GGA-PBE.

The structure in CIF format:
```
data_RbH4SNO4
_chemical_formula_sum 'Rb4 H16 S4 N4 O16'
_cell_length_a 7.760
_cell_length_b 6.230
_cell_length_c 10.859
_cell_angle_alpha 90.00
_cell_angle_beta 90.00
_cell_angle_gamma 90.00
_symmetry_space_group_name_H-M 'P n m a'
_symmetry_Int_Tables_number 62
loop_
_symmetry_equiv_pos_as_xyz
'x,y,z'
'-x,-y,-z'
'-x+1/2,-y,z+1/2'
'x+1/2,y,-z+1/2'
'x+1/2,-y+1/2,-z+1/2'
'-x+1/2,y+1/2,z+1/2'
'-x,y+1/2,-z'
'x,-y+1/2,z'
loop_
_atom_site_label
_atom_site_type_symbol
_atom_site_fract_x
_atom_site_fract_y
_atom_site_fract_z
Rb1 Rb 0.177 0.250 0.105
H1 H 0.034 0.750 0.209
H2 H 0.070 0.250 0.652
H3 H 0.122 0.616 0.328
S1 S 0.226 0.250 0.432
N1 N 0.049 0.750 0.302
O1 O 0.039 0.250 0.408
O2 O 0.194 0.553 0.876
O3 O 0.237 0.750 0.068
```


ReH2NO2: optimized geometry, GGA-PBE.

Values from the calculation:
Magnetic moment: 0.02 Bohr magnetons per cell

The structure in CIF format:
```
data_ReH2NO2
_chemical_formula_sum 'Re8 H16 N8 O16'
_cell_length_a 6.173
_cell_length_b 6.173
_cell_length_c 13.752
_cell_angle_alpha 90.00
_cell_angle_beta 90.00
_cell_angle_gamma 90.00
_symmetry_space_group_name_H-M 'I 41/a'
_symmetry_Int_Tables_number 88
loop_
_symmetry_equiv_pos_as_xyz
'x,y,z'
'-x,-y,-z'
'-y+3/4,x+1/4,z+1/4'
'y+3/4,-x+1/4,-z+1/4'
'-x+1/2,-y,z+1/2'
'x+1/2,y,-z+1/2'
'y+3/4,-x+3/4,z+3/4'
'-y+3/4,x+3/4,-z+3/4'
'x+1/2,y+1/2,z+1/2'
'-x+1/2,-y+1/2,-z+1/2'
'-y+1/4,x+3/4,z+3/4'
'y+1/4,-x+3/4,-z+3/4'
'-x,-y+1/2,z'
'x,y+1/2,-z'
'y+1/4,-x+1/4,z+1/4'
'-y+1/4,x+1/4,-z+1/4'
loop_
_atom_site_label
_atom_site_type_symbol
_atom_site_fract_x
_atom_site_fract_y
_atom_site_fract_z
Re1 Re 0.000 0.000 0.000
H1 H 0.075 0.417 0.553
N1 N 0.000 0.000 0.500
O1 O 0.003 0.066 0.279
```


ReH4NO4: optimized geometry, GGA-PBE.

Values from the calculation:
Magnetic moment: 0.00 Bohr magnetons per cell

The structure in CIF format:
```
data_ReH4NO4
_chemical_formula_sum 'Re4 H16 N4 O16'
_cell_length_a 6.250
_cell_length_b 6.250
_cell_length_c 12.257
_cell_angle_alpha 90.00
_cell_angle_beta 90.00
_cell_angle_gamma 90.00
_symmetry_space_group_name_H-M 'I 41/a'
_symmetry_Int_Tables_number 88
loop_
_symmetry_equiv_pos_as_xyz
'x,y,z'
'-x,-y,-z'
'-y+3/4,x+1/4,z+1/4'
'y+3/4,-x+1/4,-z+1/4'
'-x+1/2,-y,z+1/2'
'x+1/2,y,-z+1/2'
'y+3/4,-x+3/4,z+3/4'
'-y+3/4,x+3/4,-z+3/4'
'x+1/2,y+1/2,z+1/2'
'-x+1/2,-y+1/2,-z+1/2'
'-y+1/4,x+3/4,z+3/4'
'y+1/4,-x+3/4,-z+3/4'
'-x,-y+1/2,z'
'x,y+1/2,-z'
'y+1/4,-x+1/4,z+1/4'
'-y+1/4,x+1/4,-z+1/4'
loop_
_atom_site_label
_atom_site_type_symbol
_atom_site_fract_x
_atom_site_fract_y
_atom_site_fract_z
Re1 Re 0.000 0.250 0.125
H1 H 0.044 0.123 0.675
N1 N 0.000 0.250 0.625
O1 O 0.112 0.451 0.207
```


ScRe4H8NO20: optimized geometry, GGA-PBE.

Values from the calculation:
Magnetic moment: 0.02 Bohr magnetons per cell

The structure in CIF format:
```
data_ScRe4H8NO20
_chemical_formula_sum 'Sc2 Re8 H16 N2 O40'
_cell_length_a 12.225
_cell_length_b 12.225
_cell_length_c 6.205
_cell_angle_alpha 90.00
_cell_angle_beta 90.00
_cell_angle_gamma 90.00
_symmetry_space_group_name_H-M 'P -4 n 2'
_symmetry_Int_Tables_number 118
loop_
_symmetry_equiv_pos_as_xyz
'x,y,z'
'y,-x,-z'
'-x,-y,z'
'-y,x,-z'
'-x+1/2,y+1/2,z+1/2'
'-y+1/2,-x+1/2,-z+1/2'
'x+1/2,-y+1/2,z+1/2'
'y+1/2,x+1/2,-z+1/2'
loop_
_atom_site_label
_atom_site_type_symbol
_atom_site_fract_x
_atom_site_fract_y
_atom_site_fract_z
Sc1 Sc 0.000 0.500 0.250
Re1 Re 0.095 0.224 0.979
H1 H 0.011 0.714 0.431
H2 H 0.132 0.667 0.462
N1 N 0.000 0.000 0.500
O1 O 0.022 0.141 0.156
O2 O 0.055 0.202 0.713
O3 O 0.055 0.646 0.430
O4 O 0.061 0.361 0.046
O5 O 0.204 0.764 0.988
```


H28RuS2N6O10: optimized geometry, GGA-PBE.

Values from the calculation:
Magnetic moment: 0.00 Bohr magnetons per cell

The structure in CIF format:
```
data_H28RuS2N6O10
_chemical_formula_sum 'H56 Ru2 S4 N12 O20'
_cell_length_a 6.333
_cell_length_b 10.053
_cell_length_c 12.638
_cell_angle_alpha 90.00
_cell_angle_beta 95.53
_cell_angle_gamma 90.00
_symmetry_space_group_name_H-M 'P 1 21/c 1'
_symmetry_Int_Tables_number 14
loop_
_symmetry_equiv_pos_as_xyz
'x,y,z'
'-x,-y,-z'
'-x,y+1/2,-z+1/2'
'x,-y+1/2,z+1/2'
loop_
_atom_site_label
_atom_site_type_symbol
_atom_site_fract_x
_atom_site_fract_y
_atom_site_fract_z
H1 H 0.047 0.109 0.076
H2 H 0.096 0.029 0.298
H3 H 0.142 0.209 0.815
H4 H 0.150 0.535 0.589
H5 H 0.164 0.623 0.832
H6 H 0.196 0.229 0.550
H7 H 0.284 0.122 0.642
H8 H 0.319 0.003 0.372
H9 H 0.334 0.645 0.285
H10 H 0.340 0.639 0.419
H11 H 0.351 0.004 0.846
H12 H 0.380 0.123 0.523
H13 H 0.390 0.233 0.842
H14 H 0.434 0.097 0.140
Ru1 Ru 0.000 0.000 0.500
S1 S 0.188 0.677 0.078
N1 N 0.163 0.528 0.860
N2 N 0.245 0.133 0.562
N3 N 0.401 0.596 0.353
O1 O 0.118 0.716 0.187
O2 O 0.156 0.057 0.120
O3 O 0.165 0.695 0.510
O4 O 0.284 0.168 0.810
O5 O 0.426 0.649 0.097
```


Uncorrected energy list, top to bottom, in eV per formula unit: -397.02 -312.43 -59.74 -35.14 -65.26 -232.49 -247.15
Calculated formation energy list, top to bottom, in eV per atom: -1.38 -1.55 -1.42 0.16 -1.39 -1.64 -0.89